Compound: TmMn2Ge2
Source: the Materials Project
Functional: PBE
Structure: optimized geometry

ΔH_f (0 K), eV/atom: -0.47
Theoretical density, g/cm3: 8.514
Volume, Å³/cell: 165

Geometry as CIF:
```
data_TmMn2Ge2
_chemical_formula_sum 'Tm2 Mn4 Ge4'
_space_group_name_H-M_alt 'I 4/m m m'
_space_group_IT_number 139
_space_group_name_Hall '-I 4 2'
_cell_length_a 3.9093
_cell_length_b 3.9093
_cell_length_c 10.8247
_cell_angle_alpha 90.00
_cell_angle_beta 90.00
_cell_angle_gamma 90.00
loop_
_atom_site_label
_atom_site_fract_x
_atom_site_fract_y
_atom_site_fract_z
Tm1 0.0000 0.0000 0.0000
Mn1 0.0000 0.5000 0.2500
Ge1 0.0000 0.0000 0.3824
```